1.
Ta3Al4O14: relaxed, PBE.

Properties
**Formation energy**: -3.27 eV/atom
**Symmetry**: P3
**V**: 10.5 Å³/atom

Lattice parameters (Å, degrees): 7.452 7.452 4.603 90.00 90.00 120.00
Fractional positions:
1 Al 0.303 0.427 0.500
2 Al 0.573 0.876 0.500
3 Al 0.000 0.000 0.504
4 Al 0.124 0.697 0.500
5 O 0.097 0.474 0.731
6 O 0.059 0.237 0.273
7 O 0.177 0.941 0.273
8 O 0.470 0.385 0.226
9 O 0.810 0.047 0.722
10 O 0.914 0.530 0.226
11 O 0.667 0.333 0.812
12 O 0.615 0.086 0.226
13 O 0.333 0.667 0.323
14 O 0.526 0.623 0.731
15 O 0.377 0.903 0.731
16 O 0.763 0.823 0.273
17 O 0.237 0.190 0.722
18 O 0.953 0.763 0.722
19 Ta 0.890 0.280 0.998
20 Ta 0.720 0.610 0.998
21 Ta 0.390 0.110 0.998

=====

2.
TaTiAlO6: relaxed, PBE.

Properties
**Formation energy**: -3.39 eV/atom
**Symmetry**: P4_2nm
**V**: 10.6 Å³/atom

Lattice parameters (Å, degrees): 4.627 4.627 8.934 90.00 90.00 90.00
Fractional positions:
1 O 0.805 0.195 0.505
2 O 0.809 0.191 0.830
3 O 0.309 0.309 0.330
4 O 0.299 0.299 0.666
5 O 0.195 0.805 0.505
6 O 0.201 0.799 0.166
7 O 0.305 0.305 0.005
8 O 0.691 0.691 0.330
9 O 0.799 0.201 0.166
10 O 0.695 0.695 0.005
11 O 0.191 0.809 0.830
12 O 0.701 0.701 0.666
13 Al 0.000 0.000 0.667
14 Al 0.500 0.500 0.167
15 Ti 0.500 0.500 0.498
16 Ti 0.000 0.000 0.998
17 Ta 0.500 0.500 0.833
18 Ta 0.000 0.000 0.333

=====

3.
TaTi9Al3Zn23O48: relaxed, PBE.

Properties
**Formation energy**: -2.51 eV/atom
**Symmetry**: P1
**V**: 11.1 Å³/atom

Lattice parameters (Å, degrees): 6.017 6.053 29.523 90.61 89.96 119.70
Fractional positions:
1 O 0.831 0.205 0.103
2 O 0.371 0.185 0.602
3 O 0.652 0.313 0.264
4 O 0.316 0.136 0.359
5 O 0.017 0.025 0.193
6 O 0.499 0.531 0.935
7 O 0.166 0.863 0.767
8 O 0.982 0.976 0.431
9 O 0.628 0.816 0.519
10 O 0.348 0.686 0.360
11 O 0.964 0.466 0.187
12 O 0.647 0.801 0.026
13 O 0.347 0.692 0.858
14 O 0.696 0.864 0.767
15 O 0.684 0.865 0.266
16 O 0.303 0.136 0.858
17 O 0.161 0.792 0.027
18 O 0.170 0.342 0.028
19 O 0.012 0.025 0.693
20 O 0.654 0.310 0.768
21 O 0.851 0.191 0.599
22 O 0.988 0.975 0.934
23 O 0.685 0.345 0.523
24 O 0.837 0.676 0.360
25 O 0.166 0.804 0.519
26 O 0.026 0.528 0.933
27 O 0.682 0.354 0.028
28 O 0.850 0.664 0.601
29 O 0.167 0.363 0.517
30 O 0.502 0.461 0.189
31 O 0.317 0.642 0.099
32 O 0.158 0.322 0.766
33 O 0.039 0.537 0.437
34 O 0.492 0.987 0.933
35 O 0.171 0.875 0.266
36 O 0.820 0.636 0.104
37 O 0.505 0.014 0.694
38 O 0.839 0.680 0.860
39 O 0.369 0.200 0.105
40 O 0.512 0.031 0.188
41 O 0.829 0.126 0.358
42 O 0.490 0.968 0.435
43 O 0.831 0.135 0.858
44 O 0.315 0.656 0.600
45 O 0.503 0.540 0.435
46 O 0.964 0.467 0.691
47 O 0.494 0.472 0.693
48 O 0.162 0.324 0.264
49 Zn 0.002 0.001 0.312
50 Zn 0.497 0.999 0.563
51 Zn 0.342 0.683 0.790
52 Zn 0.838 0.667 0.230
53 Zn 0.666 0.316 0.333
54 Zn 0.495 0.496 0.564
55 Zn 0.988 0.990 0.498
56 Zn 0.330 0.654 0.167
57 Zn 0.025 0.017 0.626
58 Zn 0.675 0.350 0.959
59 Zn 0.833 0.666 0.730
60 Zn 0.659 0.318 0.836
61 Zn 0.998 0.999 0.813
62 Zn 0.003 0.984 0.003
63 Zn 0.167 0.333 0.896
64 Zn 0.323 0.663 0.980
65 Zn 0.161 0.333 0.394
66 Zn 0.323 0.654 0.669
67 Zn 0.497 0.000 0.062
68 Zn 0.655 0.333 0.647
69 Zn 0.003 0.013 0.125
70 Zn 0.673 0.340 0.455
71 Zn 0.332 0.684 0.291
72 Al 0.667 0.835 0.394
73 Al 0.000 0.500 0.063
74 Al 0.333 0.167 0.229
75 Ta 0.990 0.498 0.563
76 Ti 0.840 0.164 0.231
77 Ti 0.348 0.669 0.478
78 Ti 0.835 0.167 0.729
79 Ti 0.168 0.833 0.896
80 Ti 0.157 0.833 0.393
81 Ti 0.336 0.168 0.731
82 Ti 0.667 0.833 0.897
83 Ti 0.493 0.503 0.060
84 Ti 0.666 0.333 0.146

=====

4.
TaTi9Al3Zn23O48: relaxed, PBE.

Properties
**Formation energy**: -2.51 eV/atom
**Symmetry**: P1
**V**: 11.1 Å³/atom

Lattice parameters (Å, degrees): 5.987 6.054 29.687 90.79 90.05 119.55
Fractional positions:
1 O 0.024 0.496 0.314
2 O 0.152 0.298 0.651
3 O 0.522 0.044 0.061
4 O 0.985 0.974 0.572
5 O 0.536 0.512 0.564
6 O 0.869 0.700 0.730
7 O 0.809 0.160 0.480
8 O 0.139 0.829 0.147
9 O 0.357 0.157 0.979
10 O 0.472 0.495 0.314
11 O 0.323 0.646 0.236
12 O 0.352 0.160 0.480
13 O 0.693 0.826 0.648
14 O 0.681 0.357 0.639
15 O 0.348 0.693 0.969
16 O 0.479 0.958 0.315
17 O 0.343 0.686 0.475
18 O 0.645 0.840 0.396
19 O 0.201 0.839 0.895
20 O 0.520 0.041 0.559
21 O 0.134 0.828 0.647
22 O 0.195 0.840 0.396
23 O 0.012 0.025 0.306
24 O 0.146 0.293 0.148
25 O 0.856 0.712 0.228
26 O 0.656 0.313 0.401
27 O 0.679 0.359 0.139
28 O 0.308 0.152 0.732
29 O 0.313 0.175 0.229
30 O 0.976 0.511 0.563
31 O 0.862 0.176 0.229
32 O 0.869 0.166 0.731
33 O 0.980 0.507 0.062
34 O 0.690 0.829 0.147
35 O 0.023 0.021 0.805
36 O 0.463 0.501 0.811
37 O 0.024 0.516 0.809
38 O 0.465 0.968 0.811
39 O 0.799 0.157 0.978
40 O 0.181 0.368 0.891
41 O 0.641 0.841 0.893
42 O 0.528 0.508 0.062
43 O 0.189 0.379 0.395
44 O 0.990 0.979 0.069
45 O 0.310 0.645 0.737
46 O 0.653 0.309 0.903
47 O 0.814 0.628 0.983
48 O 0.811 0.621 0.480
49 Zn 0.010 0.020 0.372
50 Zn 0.831 0.164 0.605
51 Zn 0.340 0.679 0.542
52 Zn 0.988 0.975 0.506
53 Zn 0.502 0.501 0.938
54 Zn 0.999 0.504 0.937
55 Zn 0.167 0.835 0.271
56 Zn 0.009 0.006 0.873
57 Zn 0.678 0.341 0.705
58 Zn 0.658 0.316 0.334
59 Zn 0.325 0.649 0.169
60 Zn 0.345 0.690 0.036
61 Zn 0.668 0.836 0.271
62 Zn 0.834 0.169 0.104
63 Zn 0.653 0.326 0.837
64 Zn 0.666 0.833 0.771
65 Zn 0.000 0.500 0.438
66 Zn 0.335 0.169 0.104
67 Zn 0.500 0.500 0.438
68 Zn 0.325 0.660 0.669
69 Zn 0.334 0.161 0.605
70 Zn 0.994 0.988 0.002
71 Zn 0.677 0.355 0.205
72 Al 0.168 0.334 0.771
73 Al 0.497 0.999 0.936
74 Al 0.836 0.669 0.607
75 Ti 0.992 0.983 0.184
76 Ti 0.827 0.655 0.099
77 Ti 0.675 0.353 0.526
78 Ti 0.166 0.831 0.771
79 Ti 0.326 0.651 0.351
80 Ti 0.660 0.316 0.017
81 Ti 0.161 0.322 0.266
82 Ti 0.338 0.661 0.856
83 Ti 0.998 0.007 0.686
84 Ta 0.501 0.002 0.438